Record 1
This record from Materials Project describes an optimized crystal structure of Sr2MgMoO4. The functional is PBE with a Hubbard U.

Cell: 4.1192 4.1192 8.6296 Å, 103.81 103.81 90.00°
With the nearest neighbours (Å) after each atom.
Positions (direct):
Sr (0.3992, 0.3992, 0.7983)  4 O 2.62-2.64
Sr (0.6008, 0.6008, 0.2017)  4 O 2.62-2.64
Mg (0.2500, 0.7500, 0.5000)  4 O 2.73
Mo (0.0000, 0.0000, 0.0000)  6 O 2.06-2.27
O (0.0012, 0.5012, 0.0025)  2 Mo 2.06
O (0.4988, 0.9988, 0.9975)  2 Mo 2.06
O (0.8603, 0.8603, 0.7206)  1 Mo 2.27
O (0.1397, 0.1397, 0.2794)  1 Mo 2.27

Properties
For the polymorph energy (0 for the lowest one), the calculation gives 44.8 kJ/mol of formula units.



Record 2
This record from Materials Project describes an optimized crystal structure of Sr6MgMo3O14. The functional is PBE with a Hubbard U.

Cell: 10.8422 10.8422 5.6749 Å, 90.00 90.00 149.38°
With the nearest neighbours (Å) after each atom.
Positions (direct):
Sr (0.4983, 0.5017, 0.0000)  12 O 2.84-2.86
Sr (0.9979, 0.0021, 0.5000)  12 O 2.83-2.91
Sr (0.6857, 0.3143, 0.0000)  5 O 2.53-2.71
Sr (0.1891, 0.8109, 0.5000)  1 O 2.37
Sr (0.8143, 0.1857, 0.5000)  1 O 2.40
Sr (0.3153, 0.6847, 0.0000)  5 O 2.47-2.72
Mg (0.4009, 0.5991, 0.5000)  6 O 2.03-2.10
Mo (0.9015, 0.0985, 0.0000)  6 O 1.93-2.02
Mo (0.0999, 0.9001, 0.0000)  6 O 2.02-2.13
Mo (0.5969, 0.4031, 0.5000)  6 O 2.01-2.15
O (0.6639, 0.8587, 0.7607)  1 Mo 1.93, 1 Mg 2.10
O (0.1413, 0.3361, 0.2393)  1 Mo 1.93, 1 Mg 2.10
O (0.1413, 0.3361, 0.7607)  1 Mo 1.93, 1 Mg 2.10
O (0.6639, 0.8587, 0.2393)  1 Mo 1.93, 1 Mg 2.10
O (0.8422, 0.6481, 0.7530)  2 Mo 2.01-2.02
O (0.3519, 0.1578, 0.2470)  2 Mo 2.01-2.02
O (0.3519, 0.1578, 0.7530)  2 Mo 2.01-2.02
O (0.8422, 0.6481, 0.2470)  2 Mo 2.01-2.02
O (0.8065, 0.1935, 0.0000)  1 Mo 1.99
O (0.3023, 0.6977, 0.5000)  1 Mg 2.06
O (0.6996, 0.3004, 0.5000)  1 Mo 2.15, 1 Sr 2.40
O (0.1970, 0.8030, 0.0000)  1 Mo 2.03
O (0.4981, 0.5019, 0.5000)  1 Mg 2.03, 1 Mo 2.07
O (0.9980, 0.0020, 0.0000)  2 Mo 2.02-2.13

Properties
The value obtained for the total energy is -6.696 eV per atom.



Record 3
This record from Materials Project describes an optimized crystal structure of Sr2MgMo2O8. The functional is PBE with a Hubbard U.

Cell: 5.6675 5.4804 7.5252 Å, 114.16 114.25 83.01°
With the nearest neighbours (Å) after each atom.
Positions (direct):
Sr (0.6477, 0.8986, 0.2952)  6 O 2.45-2.55
Sr (0.3772, 0.1240, 0.7561)  6 O 2.47-2.71
Mg (0.0658, 0.8157, 0.1290)  5 O 2.05-2.28
Mo (0.1646, 0.4172, 0.3302)  4 O 1.90-1.93
Mo (0.8436, 0.5861, 0.6810)  4 O 1.89
O (0.1500, 0.5293, 0.8865)  1 Mo 1.89, 1 Mg 2.05
O (0.3739, 0.7221, 0.4013)  1 Mo 1.93
O (0.0243, 0.1878, 0.4059)  1 Mo 1.93
O (0.7407, 0.8550, 0.8872)  1 Mo 1.89, 1 Mg 2.05
O (0.2622, 0.1161, 0.1362)  1 Mo 1.91, 1 Mg 2.07
O (0.9955, 0.7460, 0.5699)  1 Mo 1.89
O (0.5734, 0.3267, 0.5701)  1 Mo 1.89
O (0.8764, 0.5206, 0.1365)  1 Mo 1.90, 1 Mg 2.08

Properties
The value obtained for the total energy is -6.709 eV per atom.



Record 4
This record from Materials Project describes an optimized crystal structure of Sr2MgMo2O6. The functional is PBE with a Hubbard U.

Cell: 5.9730 5.7157 6.4016 Å, 56.29 62.19 58.50°
With the nearest neighbours (Å) after each atom.
Positions (direct):
Sr (0.6927, 0.7773, 0.8373)  5 O 2.49-2.63, 1 Mg 2.76
Sr (0.3073, 0.2227, 0.1627)  5 O 2.49-2.63, 1 Mg 2.76
Mg (0.0000, 0.5000, 0.5000)  4 O 2.03
Mo (0.5000, 0.5000, 0.5000)  6 O 2.16-2.41
Mo (0.0000, 0.0000, 0.0000)  6 O 2.15-2.27
O (0.7726, 0.0938, 0.3610)  2 Mo 2.27-2.41, 1 Sr 2.49
O (0.2274, 0.9062, 0.6390)  2 Mo 2.27-2.41, 1 Sr 2.49
O (0.1687, 0.3489, 0.7841)  1 Mg 2.03, 2 Mo 2.15-2.16
O (0.3017, 0.6511, 0.2159)  1 Mg 2.03, 2 Mo 2.15-2.16
O (0.6983, 0.3489, 0.7841)  1 Mg 2.03, 2 Mo 2.15-2.16
O (0.8313, 0.6511, 0.2159)  1 Mg 2.03, 2 Mo 2.15-2.16

Properties
The value obtained for the total energy is -6.435 eV per atom.



What did the first record say?
This record from Materials Project describes an optimized crystal structure of Sr2MgMoO4. The functional is PBE with a Hubbard U.

Cell: 4.1192 4.1192 8.6296 Å, 103.81 103.81 90.00°
With the nearest neighbours (Å) after each atom.
Positions (direct):
Sr (0.3992, 0.3992, 0.7983)  4 O 2.62-2.64
Sr (0.6008, 0.6008, 0.2017)  4 O 2.62-2.64
Mg (0.2500, 0.7500, 0.5000)  4 O 2.73
Mo (0.0000, 0.0000, 0.0000)  6 O 2.06-2.27
O (0.0012, 0.5012, 0.0025)  2 Mo 2.06
O (0.4988, 0.9988, 0.9975)  2 Mo 2.06
O (0.8603, 0.8603, 0.7206)  1 Mo 2.27
O (0.1397, 0.1397, 0.2794)  1 Mo 2.27

Properties
For the polymorph energy (0 for the lowest one), the calculation gives 44.8 kJ/mol of formula units.